1.
{
  "formula": "ThNb4O12",
  "functional": "PBE-GGA",
  "state": "relaxed",
  "lattice_angstrom": [[-2.893, 1.913, 4.340], [-4.779, -0.759, -2.851], [-1.096, -14.691, 5.745]],
  "species": ["Nb", "Nb", "Nb", "Nb", "Nb", "Nb", "Nb", "Nb", "O", "O", "O", "O", "O", "O", "O", "O", "O", "O", "O", "O", "O", "O", "O", "O", "O", "O", "O", "O", "O", "O", "O", "O", "Th", "Th"],
  "fractional_positions": [[0.761, 0.000, 0.128], [0.239, 0.500, 0.628], [0.738, 0.000, 0.631], [0.239, 0.500, 0.372], [0.738, 0.000, 0.369], [0.262, 0.500, 0.869], [0.262, 0.500, 0.131], [0.761, 0.000, 0.872], [0.682, 0.000, 0.750], [0.682, 0.000, 0.250], [0.195, 0.500, 0.500], [0.513, 0.266, 0.099], [0.991, 0.258, 0.132], [0.991, 0.258, 0.868], [0.991, 0.742, 0.868], [0.487, 0.234, 0.401], [0.009, 0.758, 0.368], [0.167, 0.500, 0.000], [0.318, 0.500, 0.750], [0.009, 0.242, 0.368], [0.513, 0.734, 0.901], [0.487, 0.766, 0.401], [0.318, 0.500, 0.250], [0.009, 0.758, 0.632], [0.805, 0.000, 0.000], [0.009, 0.242, 0.632], [0.487, 0.766, 0.599], [0.487, 0.234, 0.599], [0.513, 0.266, 0.901], [0.833, 0.000, 0.500], [0.991, 0.742, 0.132], [0.513, 0.734, 0.099], [0.239, 0.000, 0.500], [0.761, 0.500, 0.000]],
  "volume_a3_per_cell": 493.41,
  "sg": "No. 59"
}

***

2.
{
  "formula": "HfW2",
  "functional": "PBE-GGA",
  "state": "relaxed",
  "lattice_angstrom": [[-3.813, -3.813, 0.000], [-3.813, 0.000, -3.813], [0.000, -3.813, -3.813]],
  "species": ["Hf", "Hf", "W", "W", "W", "W"],
  "fractional_positions": [[0.000, 0.000, 0.000], [0.750, 0.750, 0.750], [0.375, 0.375, 0.875], [0.375, 0.875, 0.375], [0.875, 0.375, 0.375], [0.375, 0.375, 0.375]],
  "volume_a3_per_cell": 110.91,
  "sg": "No. 227"
}

***

3.
{
  "formula": "Dy20In40Rh19",
  "functional": "PBE-GGA",
  "state": "relaxed",
  "lattice_angstrom": [[13.574, 0.000, 0.000], [0.000, 13.574, 0.000], [0.000, 0.000, 9.437]],
  "species": ["Dy", "Dy", "Dy", "Dy", "Dy", "Dy", "Dy", "Dy", "Dy", "Dy", "Dy", "Dy", "Dy", "Dy", "Dy", "Dy", "Dy", "Dy", "Dy", "Dy", "Rh", "Rh", "Rh", "Rh", "Rh", "Rh", "Rh", "Rh", "Rh", "Rh", "Rh", "Rh", "Rh", "Rh", "Rh", "Rh", "Rh", "Rh", "Rh", "In", "In", "In", "In", "In", "In", "In", "In", "In", "In", "In", "In", "In", "In", "In", "In", "In", "In", "In", "In", "In", "In", "In", "In", "In", "In", "In", "In", "In", "In", "In", "In", "In", "In", "In", "In", "In", "In", "In", "In"],
  "fractional_positions": [[0.201, 0.704, 0.737], [0.000, 0.225, 0.231], [0.500, 0.722, 0.766], [0.704, 0.799, 0.263], [0.500, 0.000, 0.850], [0.296, 0.201, 0.263], [0.799, 0.704, 0.737], [0.000, 0.500, 0.644], [0.000, 0.500, 0.150], [0.500, 0.278, 0.766], [0.775, 0.000, 0.769], [0.799, 0.296, 0.737], [0.225, 0.000, 0.769], [0.296, 0.799, 0.263], [0.000, 0.775, 0.231], [0.278, 0.500, 0.234], [0.722, 0.500, 0.234], [0.500, 0.000, 0.356], [0.704, 0.201, 0.263], [0.201, 0.296, 0.737], [0.653, 0.846, 0.893], [0.347, 0.154, 0.893], [0.846, 0.347, 0.107], [0.500, 0.500, 0.000], [0.500, 0.779, 0.406], [0.000, 0.000, 0.000], [0.221, 0.500, 0.594], [0.277, 0.000, 0.407], [0.500, 0.221, 0.406], [0.154, 0.347, 0.107], [0.000, 0.277, 0.593], [0.154, 0.653, 0.107], [0.653, 0.154, 0.893], [0.347, 0.846, 0.893], [0.846, 0.653, 0.107], [0.723, 0.000, 0.407], [0.000, 0.723, 0.593], [0.779, 0.500, 0.594], [0.500, 0.500, 0.500], [0.868, 0.868, 0.500], [0.349, 0.349, 0.000], [0.849, 0.151, 0.000], [0.830, 0.500, 0.902], [0.500, 0.170, 0.098], [0.870, 0.370, 0.406], [0.640, 0.640, 0.500], [0.170, 0.500, 0.902], [0.114, 0.000, 0.238], [0.370, 0.130, 0.594], [0.870, 0.630, 0.406], [0.385, 0.500, 0.761], [0.669, 0.000, 0.098], [0.132, 0.868, 0.500], [0.000, 0.114, 0.762], [0.130, 0.630, 0.406], [0.151, 0.151, 0.000], [0.615, 0.500, 0.761], [0.360, 0.640, 0.500], [0.331, 0.000, 0.098], [0.000, 0.886, 0.762], [0.849, 0.849, 0.000], [0.132, 0.132, 0.500], [0.370, 0.870, 0.594], [0.130, 0.370, 0.406], [0.630, 0.870, 0.594], [0.630, 0.130, 0.594], [0.000, 0.669, 0.902], [0.360, 0.360, 0.500], [0.500, 0.830, 0.098], [0.500, 0.385, 0.239], [0.886, 0.000, 0.238], [0.868, 0.132, 0.500], [0.000, 0.331, 0.902], [0.151, 0.849, 0.000], [0.500, 0.615, 0.239], [0.651, 0.349, 0.000], [0.640, 0.360, 0.500], [0.349, 0.651, 0.000], [0.651, 0.651, 0.000]],
  "volume_a3_per_cell": 1738.70,
  "sg": "No. 115"
}

***

4.
{
  "formula": "Na5Sc2Zn2P3S3O24",
  "functional": "PBE-GGA",
  "state": "relaxed",
  "lattice_angstrom": [[8.956, 0.002, -0.002], [-4.476, 7.769, 0.005], [-0.005, 0.011, 22.420]],
  "species": ["O", "O", "O", "O", "O", "O", "O", "O", "O", "O", "O", "O", "O", "O", "O", "O", "O", "O", "O", "O", "O", "O", "O", "O", "O", "O", "O", "O", "O", "O", "O", "O", "O", "O", "O", "O", "O", "O", "O", "O", "O", "O", "O", "O", "O", "O", "O", "O", "O", "O", "O", "O", "O", "O", "O", "O", "O", "O", "O", "O", "O", "O", "O", "O", "O", "O", "O", "O", "O", "O", "O", "O", "S", "S", "S", "S", "S", "S", "S", "S", "S", "Sc", "Sc", "Sc", "Sc", "Sc", "Sc", "Na", "Na", "Na", "Na", "Na", "Na", "Na", "Na", "Na", "Na", "Na", "Na", "Na", "Na", "Na", "Zn", "Zn", "Zn", "Zn", "Zn", "Zn", "P", "P", "P", "P", "P", "P", "P", "P", "P"],
  "fractional_positions": [[0.216, 0.190, 0.804], [0.884, 0.357, 0.642], [0.308, 0.446, 0.473], [0.171, 0.984, 0.913], [0.818, 0.989, 0.413], [0.654, 0.148, 0.421], [0.788, 0.815, 0.198], [0.549, 0.862, 0.476], [0.150, 0.494, 0.577], [0.353, 0.489, 0.076], [0.208, 0.023, 0.305], [0.537, 0.688, 0.969], [0.474, 0.358, 0.138], [0.534, 0.694, 0.255], [0.513, 0.862, 0.078], [0.454, 0.147, 0.531], [0.524, 0.874, 0.362], [0.458, 0.309, 0.031], [0.811, 0.783, 0.304], [0.847, 0.532, 0.746], [0.982, 0.171, 0.588], [0.117, 0.469, 0.861], [0.162, 0.480, 0.256], [0.185, 0.971, 0.193], [0.829, 0.812, 0.588], [0.148, 0.654, 0.081], [0.986, 0.815, 0.088], [0.491, 0.355, 0.421], [0.313, 0.868, 0.979], [0.867, 0.507, 0.421], [0.016, 0.820, 0.411], [0.838, 0.319, 0.246], [0.178, 0.198, 0.413], [0.351, 0.864, 0.577], [0.686, 0.141, 0.029], [0.119, 0.642, 0.362], [0.477, 0.113, 0.637], [0.201, 0.176, 0.087], [0.025, 0.811, 0.697], [0.850, 0.308, 0.529], [0.154, 0.683, 0.756], [0.503, 0.144, 0.923], [0.506, 0.652, 0.580], [0.526, 0.644, 0.861], [0.315, 0.838, 0.255], [0.862, 0.353, 0.921], [0.884, 0.532, 0.145], [0.967, 0.191, 0.310], [0.482, 0.159, 0.244], [0.361, 0.870, 0.867], [0.351, 0.479, 0.366], [0.685, 0.532, 0.244], [0.640, 0.115, 0.137], [0.007, 0.191, 0.913], [0.798, 0.825, 0.913], [0.638, 0.523, 0.643], [0.973, 0.786, 0.805], [0.019, 0.201, 0.198], [0.309, 0.479, 0.754], [0.825, 0.022, 0.088], [0.144, 0.687, 0.470], [0.190, 0.215, 0.692], [0.526, 0.835, 0.756], [0.849, 0.533, 0.032], [0.691, 0.166, 0.745], [0.487, 0.332, 0.744], [0.143, 0.452, 0.969], [0.199, 0.025, 0.588], [0.683, 0.532, 0.531], [0.646, 0.512, 0.922], [0.792, 0.973, 0.697], [0.815, 0.025, 0.809], [0.375, 0.339, 0.084], [0.000, 0.707, 0.751], [0.037, 0.369, 0.917], [0.706, 0.705, 0.251], [0.667, 0.035, 0.083], [0.627, 0.668, 0.917], [0.334, 0.370, 0.418], [0.040, 0.670, 0.417], [0.371, 0.037, 0.583], [0.997, 0.002, 0.649], [0.671, 0.337, 0.483], [0.005, 0.005, 0.149], [0.337, 0.672, 0.316], [0.338, 0.678, 0.816], [0.672, 0.345, 0.982], [0.639, 0.319, 0.330], [0.633, 0.631, 0.744], [0.999, 0.631, 0.243], [0.326, 0.670, 0.663], [0.007, 0.989, 0.995], [0.641, 0.014, 0.252], [0.634, 0.312, 0.829], [0.985, 0.971, 0.495], [0.318, 0.637, 0.162], [0.996, 0.355, 0.746], [0.299, 0.959, 0.080], [0.694, 0.027, 0.911], [0.666, 0.964, 0.578], [0.306, 0.346, 0.585], [0.965, 0.291, 0.413], [0.003, 0.006, 0.346], [0.024, 0.010, 0.848], [0.340, 0.669, 0.514], [0.662, 0.328, 0.681], [0.312, 0.663, 0.015], [0.671, 0.335, 0.181], [0.706, 0.003, 0.753], [0.298, 0.005, 0.250], [0.667, 0.628, 0.585], [0.331, 0.965, 0.920], [0.301, 0.298, 0.749], [0.634, 0.964, 0.418], [0.964, 0.630, 0.086], [0.967, 0.340, 0.585], [0.000, 0.297, 0.252]],
  "volume_a3_per_cell": 1560.16,
  "sg": "No. 1"
}

***

5.
{
  "formula": "LiErGe",
  "functional": "PBE-GGA",
  "state": "relaxed",
  "lattice_angstrom": [[-6.666, 2.168, -0.072], [1.822, -5.606, 3.795], [0.778, 2.501, 3.321]],
  "species": ["Er", "Er", "Er", "Ge", "Ge", "Ge", "Li", "Li", "Li"],
  "fractional_positions": [[0.000, 0.575, 0.000], [0.575, 0.000, 0.000], [0.425, 0.425, 0.000], [0.333, 0.667, 0.500], [0.000, 0.000, 0.000], [0.667, 0.333, 0.500], [0.767, 0.767, 0.500], [0.233, 0.000, 0.500], [0.000, 0.233, 0.500]],
  "volume_a3_per_cell": 180.04,
  "sg": "No. 189"
}

***

6.
{
  "formula": "SrI2",
  "functional": "PBE-GGA",
  "state": "relaxed",
  "lattice_angstrom": [[5.015, 0.000, 0.000], [0.000, 8.501, 0.000], [0.000, 0.000, 12.536]],
  "species": ["I", "I", "I", "I", "I", "I", "I", "I", "Sr", "Sr", "Sr", "Sr"],
  "fractional_positions": [[0.250, 0.377, 0.392], [0.750, 0.119, 0.622], [0.750, 0.623, 0.608], [0.250, 0.123, 0.892], [0.250, 0.881, 0.378], [0.750, 0.877, 0.108], [0.250, 0.619, 0.878], [0.750, 0.381, 0.122], [0.250, 0.132, 0.170], [0.750, 0.632, 0.330], [0.750, 0.868, 0.830], [0.250, 0.368, 0.670]],
  "volume_a3_per_cell": 534.50,
  "sg": "No. 62"
}

***

7.
{
  "formula": "CuSnO6",
  "functional": "PBE-GGA",
  "state": "relaxed",
  "lattice_angstrom": [[8.238, -0.032, -0.002], [-0.031, 8.110, -0.001], [0.011, 0.002, 6.401]],
  "species": ["O", "O", "O", "O", "O", "O", "O", "O", "O", "O", "O", "O", "O", "O", "O", "O", "O", "O", "O", "O", "O", "O", "O", "O", "Cu", "Cu", "Cu", "Cu", "Sn", "Sn", "Sn", "Sn"],
  "fractional_positions": [[0.974, 0.743, 0.360], [0.756, 0.527, 0.643], [0.252, 0.019, 0.357], [0.244, 0.017, 0.143], [0.015, 0.244, 0.859], [0.583, 0.087, 0.263], [0.248, 0.478, 0.357], [0.745, 0.982, 0.642], [0.752, 0.984, 0.859], [0.519, 0.747, 0.141], [0.477, 0.256, 0.859], [0.519, 0.756, 0.359], [0.491, 0.247, 0.642], [0.256, 0.480, 0.143], [0.985, 0.753, 0.142], [0.418, 0.587, 0.763], [0.587, 0.417, 0.236], [0.918, 0.411, 0.262], [0.017, 0.252, 0.641], [0.082, 0.913, 0.765], [0.914, 0.083, 0.238], [0.413, 0.915, 0.737], [0.088, 0.583, 0.736], [0.748, 0.525, 0.856], [0.997, 0.999, 0.000], [0.499, 0.000, 0.500], [0.002, 0.497, 0.499], [0.502, 0.501, 0.000], [0.499, 0.003, 0.999], [0.998, 0.997, 0.501], [0.501, 0.500, 0.499], [0.003, 0.499, 0.000]],
  "volume_a3_per_cell": 427.66,
  "sg": "No. 1"
}

***

8.
{
  "formula": "GaSiO3",
  "functional": "PBE-GGA",
  "state": "relaxed",
  "lattice_angstrom": [[3.577, 0.000, 0.000], [0.000, 3.577, 0.000], [0.000, 0.000, 3.577]],
  "species": ["O", "O", "O", "Ga", "Si"],
  "fractional_positions": [[0.000, 0.500, 0.500], [0.500, 0.500, 0.000], [0.500, 0.000, 0.500], [0.000, 0.000, 0.000], [0.500, 0.500, 0.500]],
  "volume_a3_per_cell": 45.75,
  "sg": "No. 221"
}

***

9.
{
  "formula": "Ce3Ge13Ru4",
  "functional": "PBE-GGA",
  "state": "relaxed",
  "lattice_angstrom": [[-2.485, -8.393, 2.447], [8.157, -1.310, 3.788], [-3.146, 3.232, 7.891]],
  "species": ["Ge", "Ge", "Ge", "Ge", "Ge", "Ge", "Ge", "Ge", "Ge", "Ge", "Ge", "Ge", "Ge", "Ge", "Ge", "Ge", "Ge", "Ge", "Ge", "Ge", "Ge", "Ge", "Ge", "Ge", "Ge", "Ge", "Ce", "Ce", "Ce", "Ce", "Ce", "Ce", "Ru", "Ru", "Ru", "Ru", "Ru", "Ru", "Ru", "Ru"],
  "fractional_positions": [[0.000, 0.148, 0.694], [0.648, 0.500, 0.194], [0.500, 0.500, 0.500], [0.806, 0.352, 0.500], [0.852, 0.306, 0.000], [0.500, 0.194, 0.352], [0.694, 0.000, 0.148], [0.306, 0.000, 0.148], [0.000, 0.852, 0.306], [0.806, 0.648, 0.500], [0.000, 0.852, 0.694], [0.352, 0.500, 0.806], [0.500, 0.806, 0.352], [0.352, 0.500, 0.194], [0.148, 0.306, 0.000], [0.500, 0.806, 0.648], [0.000, 0.000, 0.000], [0.852, 0.694, 0.000], [0.306, 0.000, 0.852], [0.148, 0.694, 0.000], [0.694, 0.000, 0.852], [0.194, 0.648, 0.500], [0.194, 0.352, 0.500], [0.500, 0.194, 0.648], [0.648, 0.500, 0.806], [0.000, 0.148, 0.306], [0.000, 0.500, 0.750], [0.500, 0.250, 0.000], [0.250, 0.000, 0.500], [0.000, 0.500, 0.250], [0.500, 0.750, 0.000], [0.750, 0.000, 0.500], [0.250, 0.750, 0.750], [0.750, 0.250, 0.250], [0.250, 0.750, 0.250], [0.750, 0.750, 0.750], [0.750, 0.250, 0.750], [0.750, 0.750, 0.250], [0.250, 0.250, 0.750], [0.250, 0.250, 0.250]],
  "volume_a3_per_cell": 750.74,
  "sg": "No. 223"
}

***

10.
{
  "formula": "MgCu2AgSe2O10",
  "functional": "PBE-GGA",
  "state": "relaxed",
  "lattice_angstrom": [[3.653, 2.386, -4.037], [-3.050, 3.986, 3.183], [4.861, -3.050, 5.086]],
  "species": ["O", "O", "O", "O", "O", "O", "O", "O", "O", "O", "Ag", "Cu", "Cu", "Mg", "Se", "Se"],
  "fractional_positions": [[0.362, 0.690, 0.052], [0.439, 0.204, 0.205], [0.025, 0.243, 0.268], [0.001, 0.766, 0.205], [0.364, 0.181, 0.545], [0.967, 0.240, 0.768], [0.527, 0.801, 0.768], [0.984, 0.784, 0.768], [0.651, 0.318, 0.969], [0.662, 0.788, 0.449], [0.052, 0.501, 0.553], [0.499, 0.995, 0.996], [0.001, 0.498, 0.997], [0.598, 0.569, 0.167], [0.214, 0.103, 0.317], [0.786, 0.902, 0.688]],
  "volume_a3_per_cell": 224.07,
  "sg": "No. 8"
}

***

no.,energy (eV per atom)
1,-9.04
2,-12.13
3,-4.93
4,-6.44
5,-4.41
6,-3.29
7,-5.07
8,-6.29
9,-6.21
10,-5.08